This record from the Materials Project describes a relaxed structure of NaO2. The functional is r2SCAN.

Lattice parameters (Å, degrees): 5.088 6.334 9.145 90.00 90.00 90.00
Element x y z (fractional)
Na1 0.168 0.226 0.121
Na2 0.168 0.274 0.621
Na3 0.332 0.726 0.121
Na4 0.332 0.774 0.621
Na5 0.668 0.226 0.379
Na6 0.668 0.274 0.879
Na7 0.832 0.726 0.379
Na8 0.832 0.774 0.879
O1 0.076 0.036 0.336
O2 0.076 0.464 0.836
O3 0.224 0.528 0.431
O4 0.224 0.972 0.931
O5 0.276 0.028 0.431
O6 0.276 0.472 0.931
O7 0.424 0.536 0.336
O8 0.424 0.964 0.836
O9 0.576 0.036 0.164
O10 0.576 0.464 0.664
O11 0.724 0.528 0.069
O12 0.724 0.972 0.569
O13 0.776 0.028 0.069
O14 0.776 0.472 0.569
O15 0.924 0.536 0.164
O16 0.924 0.964 0.664

Properties
formation energy from the elements = -82 kJ/mol of atoms
energy above the lowest structure with this stoichiometry = 20 meV per atom
theoretical density = 2.48 g/cm3
total DFT energy (no corrections) = -0.2213 Ha/atom